Below is crystalline Tl2SeO4 at its relaxed geometry, with properties calculated at the PBE-GGA level. Values from VASP.

```
&SYSTEM
  ibrav = 0, nat = 14, ntyp = 3
/
ATOMIC_SPECIES
Tl 204.38 Tl.upf
Se 78.96 Se.upf
O 16.00 O.upf
CELL_PARAMETERS angstrom
3.3527 -5.4056 0.0000
3.3527 5.4056 0.0000
-0.0265 0.0000 8.2106
ATOMIC_POSITIONS crystal
Tl 0.0000 0.0000 0.0000
Tl 0.0000 0.0000 0.5000
Tl 0.3323 0.6677 0.7500
Tl 0.6677 0.3323 0.2500
Se 0.3437 0.6563 0.2500
Se 0.6563 0.3437 0.7500
O 0.2377 0.3598 0.2532
O 0.2509 0.7353 0.0804
O 0.2647 0.7491 0.4196
O 0.3598 0.2377 0.7532
O 0.6402 0.7623 0.2468
O 0.7353 0.2509 0.5804
O 0.7491 0.2647 0.9196
O 0.7623 0.6402 0.7468
```

Computed properties:
Calculated formation energy: -1.225 eV/atom
Offset from the most stable computed form: 11 meV/atom
Volume: 298 Å³/cell